Computed, not measured: a geometry-optimized Na2Sc2P2SO12 structure at the GGA-PBE level of DFT.

a = 8.921 Å, b = 8.921 Å, c = 22.911 Å
α = 90.14°, β = 89.86°, γ = 119.75°
Sites, in units of the cell vectors:
1 Na 0.996 0.631 0.251
2 Na 0.369 0.004 0.751
3 Na 0.663 0.964 0.585
4 Na 0.036 0.337 0.085
5 Na 0.330 0.297 0.918
6 Na 0.703 0.670 0.418
7 Na 0.013 0.998 0.500
8 Na 0.002 0.987 0.000
9 Na 0.680 0.331 0.834
10 Na 0.669 0.320 0.334
11 Na 0.346 0.665 0.167
12 Na 0.335 0.654 0.667
13 Sc 0.992 0.002 0.351
14 Sc 0.998 0.008 0.851
15 Sc 0.003 0.001 0.649
16 Sc 0.999 0.997 0.149
17 Sc 0.658 0.335 0.684
18 Sc 0.665 0.342 0.184
19 Sc 0.670 0.334 0.982
20 Sc 0.666 0.330 0.482
21 Sc 0.325 0.668 0.018
22 Sc 0.332 0.675 0.518
23 Sc 0.336 0.668 0.315
24 Sc 0.332 0.664 0.815
25 P 0.706 0.709 0.250
26 P 0.000 0.293 0.249
27 P 0.291 0.294 0.750
28 P 0.707 0.000 0.749
29 P 0.372 0.042 0.584
30 P 0.666 0.626 0.582
31 P 0.958 0.628 0.084
32 P 0.374 0.334 0.082
33 P 0.039 0.376 0.917
34 P 0.333 0.960 0.916
35 P 0.624 0.961 0.417
36 P 0.040 0.667 0.416
37 S 0.294 0.003 0.251
38 S 0.997 0.706 0.751
39 S 0.960 0.336 0.584
40 S 0.664 0.040 0.084
41 S 0.627 0.670 0.917
42 S 0.330 0.373 0.417
43 O 0.212 0.027 0.303
44 O 0.819 0.787 0.306
45 O 0.977 0.180 0.303
46 O 0.213 0.181 0.806
47 O 0.973 0.788 0.803
48 O 0.820 0.023 0.803
49 O 0.788 0.974 0.693
50 O 0.178 0.202 0.697
51 O 0.029 0.816 0.698
52 O 0.798 0.822 0.197
53 O 0.026 0.212 0.193
54 O 0.184 0.971 0.198
55 O 0.879 0.360 0.636
56 O 0.486 0.120 0.639
57 O 0.644 0.514 0.636
58 O 0.880 0.514 0.139
59 O 0.640 0.121 0.136
60 O 0.486 0.356 0.136
61 O 0.455 0.307 0.026
62 O 0.845 0.536 0.030
63 O 0.695 0.150 0.031
64 O 0.464 0.155 0.530
65 O 0.693 0.545 0.526
66 O 0.850 0.305 0.531
67 O 0.545 0.693 0.970
68 O 0.153 0.454 0.972
69 O 0.311 0.847 0.969
70 O 0.546 0.847 0.472
71 O 0.307 0.455 0.470
72 O 0.153 0.689 0.469
73 O 0.122 0.640 0.360
74 O 0.511 0.869 0.363
75 O 0.362 0.483 0.365
76 O 0.131 0.489 0.863
77 O 0.360 0.878 0.860
78 O 0.517 0.638 0.865
79 O 0.018 0.829 0.410
80 O 0.804 0.972 0.411
81 O 0.180 0.200 0.410
82 O 0.028 0.196 0.911
83 O 0.171 0.982 0.910
84 O 0.800 0.820 0.910
85 O 0.972 0.175 0.589
86 O 0.192 0.022 0.590
87 O 0.825 0.812 0.589
88 O 0.978 0.808 0.090
89 O 0.825 0.028 0.089
90 O 0.188 0.175 0.089
91 O 0.685 0.162 0.744
92 O 0.471 0.306 0.744
93 O 0.846 0.533 0.744
94 O 0.694 0.529 0.244
95 O 0.838 0.315 0.244
96 O 0.467 0.154 0.244
97 O 0.639 0.508 0.922
98 O 0.858 0.355 0.923
99 O 0.492 0.145 0.922
100 O 0.645 0.142 0.423
101 O 0.492 0.361 0.422
102 O 0.855 0.508 0.422
103 O 0.351 0.495 0.077
104 O 0.137 0.639 0.077
105 O 0.513 0.867 0.077
106 O 0.361 0.863 0.577
107 O 0.505 0.649 0.577
108 O 0.133 0.487 0.577
109 O 0.305 0.841 0.256
110 O 0.525 0.688 0.257
111 O 0.158 0.478 0.256
112 O 0.312 0.475 0.757
113 O 0.159 0.695 0.756
114 O 0.522 0.842 0.756

## Properties
- Energy relative to the elements: -2.9190 eV per atom

***

Computed, not measured: a geometry-optimized Na3Sc2Sn2P5SO24 structure at the GGA-PBE level of DFT.

a = 8.828 Å, b = 8.843 Å, c = 22.893 Å
α = 89.97°, β = 89.85°, γ = 60.10°
Sites, in units of the cell vectors:
1 Na 0.000 0.000 0.000
2 Na 0.000 0.000 0.499
3 Na 0.029 0.663 0.082
4 Na 0.325 0.338 0.666
5 Na 0.329 0.329 0.165
6 Na 0.631 0.998 0.249
7 Na 0.658 0.671 0.832
8 Na 0.662 0.031 0.582
9 Na 0.667 0.653 0.333
10 Sc 0.000 0.988 0.646
11 Sc 0.320 0.329 0.314
12 Sc 0.324 0.326 0.518
13 Sc 0.326 0.322 0.017
14 Sc 0.328 0.327 0.813
15 Sc 0.997 0.001 0.146
16 Sn 0.003 0.982 0.850
17 Sn 0.657 0.666 0.684
18 Sn 0.660 0.657 0.184
19 Sn 0.660 0.668 0.980
20 Sn 0.667 0.660 0.480
21 Sn 0.991 0.001 0.349
22 P 0.033 0.327 0.416
23 P 0.034 0.621 0.916
24 P 0.287 0.993 0.248
25 P 0.291 0.700 0.748
26 P 0.327 0.034 0.915
27 P 0.370 0.952 0.581
28 P 0.371 0.660 0.081
29 P 0.624 0.033 0.415
30 P 0.660 0.956 0.083
31 P 0.661 0.372 0.582
32 P 0.702 0.290 0.248
33 P 0.703 0.994 0.748
34 P 0.950 0.371 0.081
35 P 0.955 0.658 0.583
36 P 0.997 0.702 0.247
37 S 0.328 0.624 0.415
38 S 0.625 0.327 0.915
39 S 0.992 0.288 0.749
40 O 0.010 0.809 0.911
41 O 0.017 0.160 0.410
42 O 0.017 0.182 0.697
43 O 0.020 0.785 0.192
44 O 0.115 0.357 0.361
45 O 0.122 0.510 0.862
46 O 0.129 0.362 0.075
47 O 0.134 0.498 0.576
48 O 0.140 0.543 0.972
49 O 0.142 0.303 0.470
50 O 0.149 0.307 0.755
51 O 0.156 0.522 0.255
52 O 0.158 0.019 0.909
53 O 0.170 0.801 0.410
54 O 0.177 0.020 0.195
55 O 0.179 0.789 0.694
56 O 0.188 0.821 0.087
57 O 0.190 0.971 0.588
58 O 0.210 0.958 0.305
59 O 0.216 0.815 0.804
60 O 0.301 0.142 0.970
61 O 0.302 0.545 0.468
62 O 0.308 0.519 0.755
63 O 0.315 0.151 0.255
64 O 0.349 0.498 0.075
65 O 0.354 0.518 0.362
66 O 0.357 0.117 0.860
67 O 0.361 0.130 0.575
68 O 0.453 0.836 0.526
69 O 0.454 0.692 0.026
70 O 0.476 0.829 0.244
71 O 0.477 0.681 0.743
72 O 0.484 0.628 0.137
73 O 0.487 0.643 0.420
74 O 0.490 0.874 0.635
75 O 0.491 0.847 0.920
76 O 0.498 0.134 0.076
77 O 0.499 0.350 0.576
78 O 0.516 0.116 0.360
79 O 0.518 0.354 0.862
80 O 0.520 0.155 0.755
81 O 0.522 0.304 0.256
82 O 0.543 0.141 0.471
83 O 0.546 0.300 0.968
84 O 0.629 0.875 0.140
85 O 0.630 0.485 0.637
86 O 0.641 0.848 0.420
87 O 0.644 0.486 0.920
88 O 0.685 0.473 0.243
89 O 0.689 0.824 0.744
90 O 0.693 0.454 0.527
91 O 0.700 0.834 0.030
92 O 0.786 0.020 0.692
93 O 0.786 0.173 0.195
94 O 0.803 0.170 0.909
95 O 0.812 0.009 0.410
96 O 0.814 0.213 0.304
97 O 0.817 0.964 0.803
98 O 0.823 0.189 0.588
99 O 0.823 0.692 0.243
100 O 0.829 0.965 0.089
101 O 0.833 0.464 0.744
102 O 0.834 0.701 0.529
103 O 0.835 0.455 0.026
104 O 0.846 0.492 0.421
105 O 0.848 0.640 0.920
106 O 0.871 0.491 0.136
107 O 0.872 0.627 0.638
108 O 0.955 0.823 0.302
109 O 0.961 0.211 0.803
110 O 0.964 0.828 0.589
111 O 0.968 0.193 0.087

## Properties
- SG: No. 1
- Energy relative to the elements: -2.7203 eV per atom

***

Computed, not measured: a geometry-optimized Na3Sc2Ti2P5SO24 structure at the GGA-PBE level of DFT.

a = 8.743 Å, b = 8.762 Å, c = 22.573 Å
α = 90.08°, β = 90.07°, γ = 119.71°
Sites, in units of the cell vectors:
1 Na 0.000 0.000 0.000
2 Na 0.001 0.634 0.250
3 Na 0.004 0.012 0.499
4 Na 0.336 0.663 0.833
5 Na 0.341 0.669 0.334
6 Na 0.370 0.004 0.750
7 Na 0.662 0.329 0.165
8 Na 0.666 0.338 0.666
9 Na 0.970 0.670 0.583
10 Sc 0.337 0.666 0.687
11 Sc 0.339 0.675 0.187
12 Sc 0.658 0.336 0.517
13 Sc 0.663 0.339 0.314
14 Sc 0.667 0.345 0.815
15 Sc 0.668 0.343 0.018
16 Ti 0.009 0.007 0.352
17 Ti 0.326 0.661 0.483
18 Ti 0.346 0.694 0.982
19 Ti 0.994 0.998 0.147
20 Ti 0.998 0.997 0.852
21 Ti 0.999 0.010 0.647
22 P 0.000 0.287 0.250
23 P 0.044 0.378 0.584
24 P 0.046 0.675 0.084
25 P 0.281 0.289 0.751
26 P 0.288 0.009 0.249
27 P 0.334 0.962 0.585
28 P 0.369 0.339 0.416
29 P 0.371 0.045 0.916
30 P 0.625 0.676 0.583
31 P 0.628 0.964 0.084
32 P 0.666 0.636 0.917
33 P 0.715 0.723 0.251
34 P 0.718 0.007 0.751
35 P 0.966 0.637 0.416
36 P 0.997 0.717 0.749
37 S 0.329 0.380 0.083
38 S 0.667 0.040 0.416
39 S 0.966 0.339 0.917
40 O 0.023 0.195 0.305
41 O 0.024 0.836 0.804
42 O 0.030 0.196 0.590
43 O 0.032 0.845 0.090
44 O 0.124 0.496 0.638
45 O 0.124 0.646 0.141
46 O 0.144 0.497 0.925
47 O 0.153 0.659 0.426
48 O 0.161 0.972 0.589
49 O 0.163 0.468 0.528
50 O 0.163 0.472 0.246
51 O 0.167 0.699 0.030
52 O 0.169 0.194 0.806
53 O 0.169 0.203 0.088
54 O 0.169 0.710 0.746
55 O 0.170 0.980 0.304
56 O 0.183 0.176 0.407
57 O 0.184 0.020 0.908
58 O 0.192 0.171 0.695
59 O 0.193 0.028 0.194
60 O 0.295 0.837 0.246
61 O 0.299 0.470 0.747
62 O 0.301 0.837 0.530
63 O 0.305 0.465 0.029
64 O 0.348 0.856 0.926
65 O 0.350 0.505 0.426
66 O 0.357 0.485 0.137
67 O 0.359 0.882 0.642
68 O 0.447 0.302 0.471
69 O 0.455 0.158 0.970
70 O 0.462 0.297 0.754
71 O 0.469 0.171 0.254
72 O 0.480 0.116 0.859
73 O 0.484 0.372 0.361
74 O 0.487 0.359 0.077
75 O 0.495 0.144 0.577
76 O 0.499 0.655 0.927
77 O 0.508 0.863 0.424
78 O 0.515 0.645 0.638
79 O 0.515 0.878 0.138
80 O 0.533 0.700 0.528
81 O 0.533 0.703 0.246
82 O 0.533 0.844 0.747
83 O 0.537 0.845 0.028
84 O 0.633 0.522 0.862
85 O 0.637 0.120 0.363
86 O 0.649 0.147 0.076
87 O 0.657 0.518 0.576
88 O 0.697 0.171 0.754
89 O 0.698 0.150 0.470
90 O 0.703 0.556 0.972
91 O 0.708 0.543 0.254
92 O 0.809 0.837 0.306
93 O 0.810 0.984 0.805
94 O 0.812 0.977 0.090
95 O 0.813 0.842 0.589
96 O 0.826 0.021 0.409
97 O 0.829 0.821 0.907
98 O 0.832 0.027 0.695
99 O 0.833 0.811 0.195
100 O 0.834 0.536 0.754
101 O 0.836 0.309 0.254
102 O 0.854 0.557 0.472
103 O 0.856 0.308 0.970
104 O 0.862 0.361 0.575
105 O 0.862 0.514 0.076
106 O 0.886 0.369 0.864
107 O 0.887 0.525 0.360
108 O 0.976 0.807 0.692
109 O 0.978 0.172 0.194
110 O 0.984 0.180 0.909
111 O 0.985 0.822 0.408

## Properties
- SG: No. 1
- Energy relative to the elements: -2.9627 eV per atom

***

Q: Among the records above, which one has the lowest energy relative to the elements?
A: Na3Sc2Ti2P5SO24

***

Q: Which of these has the lowest energy relative to the elements?
A: Na3Sc2Ti2P5SO24

***

Q: What is the energy relative to the elements in the first record?
A: -2.9190 eV per atom

***

Q: Number 1 is which compound?
A: Na2Sc2P2SO12